# Ac3Ag, optimized geometry, DFT PBE
data_Ac3Ag
_space_group_name_H-M_alt 'P 63/m m c'
_space_group_IT_number 194
_space_group_name_Hall '-P 6c 2c'
_cell_length_a 7.7355
_cell_length_b 7.7355
_cell_length_c 5.7479
_cell_angle_alpha 90.00
_cell_angle_beta 90.00
_cell_angle_gamma 120.00
loop_
_atom_site_label
_atom_site_type_symbol
_atom_site_fract_x
_atom_site_fract_y
_atom_site_fract_z
Ac1 Ac 0.1752 0.3504 0.2500
Ag1 Ag 0.3333 0.6667 0.7500
# Energy above the lowest structure with this stoichiometry = 7 meV/atom

***

# AcAg3, optimized geometry, DFT PBE
data_AcAg3
_space_group_name_H-M_alt 'P 63/m m c'
_space_group_IT_number 194
_space_group_name_Hall '-P 6c 2c'
_cell_length_a 6.9819
_cell_length_b 6.9819
_cell_length_c 4.8631
_cell_angle_alpha 90.00
_cell_angle_beta 90.00
_cell_angle_gamma 120.00
loop_
_atom_site_label
_atom_site_type_symbol
_atom_site_fract_x
_atom_site_fract_y
_atom_site_fract_z
Ac1 Ac 0.3333 0.6667 0.2500
Ag1 Ag 0.1402 0.2804 0.7500
# Electronic total energy = -3.36 eV per atom

***

# AcAg, optimized geometry, DFT PBE
data_AcAg
_space_group_name_H-M_alt 'P m -3 m'
_space_group_IT_number 221
_space_group_name_Hall '-P 4 2 3'
_cell_length_a 3.974
_cell_length_b 3.974
_cell_length_c 3.974
_cell_angle_alpha 90.00
_cell_angle_beta 90.00
_cell_angle_gamma 90.00
loop_
_atom_site_label
_atom_site_type_symbol
_atom_site_fract_x
_atom_site_fract_y
_atom_site_fract_z
Ac1 Ac 0.000 0.000 0.000
Ag1 Ag 0.500 0.500 0.500
# Electronic total energy = -3.73 eV per atom

***

# Ac3Ag, optimized geometry, DFT PBE
data_Ac3Ag
_space_group_name_H-M_alt 'I 4/m m m'
_space_group_IT_number 139
_space_group_name_Hall '-I 4 2'
_cell_length_a 5.204
_cell_length_b 5.204
_cell_length_c 11.122
_cell_angle_alpha 90.00
_cell_angle_beta 90.00
_cell_angle_gamma 90.00
loop_
_atom_site_label
_atom_site_type_symbol
_atom_site_fract_x
_atom_site_fract_y
_atom_site_fract_z
Ac1 Ac 0.000 0.000 0.000
Ac2 Ac 0.000 0.500 0.250
Ag1 Ag 0.000 0.000 0.500
# Energy above the lowest structure with this stoichiometry = 0 meV/atom

***

# AcCdAg2, optimized geometry, DFT PBE
data_AcCdAg2
_space_group_name_H-M_alt 'F m -3 m'
_space_group_IT_number 225
_space_group_name_Hall '-F 4 2 3'
_cell_length_a 7.461
_cell_length_b 7.461
_cell_length_c 7.461
_cell_angle_alpha 90.00
_cell_angle_beta 90.00
_cell_angle_gamma 90.00
loop_
_atom_site_label
_atom_site_type_symbol
_atom_site_fract_x
_atom_site_fract_y
_atom_site_fract_z
Ac1 Ac 0.000 0.000 0.000
Cd1 Cd 0.000 0.000 0.500
Ag1 Ag 0.250 0.250 0.250
# Electronic total energy = -2.91 eV per atom

***

# Ac2AgIr, optimized geometry, DFT PBE
data_Ac2AgIr
_space_group_name_H-M_alt 'F m -3 m'
_space_group_IT_number 225
_space_group_name_Hall '-F 4 2 3'
_cell_length_a 7.643
_cell_length_b 7.643
_cell_length_c 7.643
_cell_angle_alpha 90.00
_cell_angle_beta 90.00
_cell_angle_gamma 90.00
loop_
_atom_site_label
_atom_site_type_symbol
_atom_site_fract_x
_atom_site_fract_y
_atom_site_fract_z
Ac1 Ac 0.250 0.250 0.250
Ag1 Ag 0.000 0.000 0.000
Ir1 Ir 0.000 0.000 0.500
# Electronic total energy = -5.35 eV per atom

***

# AcAg2Pb, optimized geometry, DFT PBE
data_AcAg2Pb
_space_group_name_H-M_alt 'F m -3 m'
_space_group_IT_number 225
_space_group_name_Hall '-F 4 2 3'
_cell_length_a 7.547
_cell_length_b 7.547
_cell_length_c 7.547
_cell_angle_alpha 90.00
_cell_angle_beta 90.00
_cell_angle_gamma 90.00
loop_
_atom_site_label
_atom_site_type_symbol
_atom_site_fract_x
_atom_site_fract_y
_atom_site_fract_z
Ac1 Ac 0.000 0.000 0.000
Ag1 Ag 0.250 0.250 0.250
Pb1 Pb 0.000 0.000 0.500
# Electronic total energy = -3.67 eV per atom

***

# AcAgTe2, optimized geometry, DFT PBE
data_AcAgTe2
_space_group_name_H-M_alt 'F m -3 m'
_space_group_IT_number 225
_space_group_name_Hall '-F 4 2 3'
_cell_length_a 7.876
_cell_length_b 7.876
_cell_length_c 7.876
_cell_angle_alpha 90.00
_cell_angle_beta 90.00
_cell_angle_gamma 90.00
loop_
_atom_site_label
_atom_site_type_symbol
_atom_site_fract_x
_atom_site_fract_y
_atom_site_fract_z
Ac1 Ac 0.000 0.000 0.000
Ag1 Ag 0.000 0.000 0.500
Te1 Te 0.250 0.250 0.250
# Electronic total energy = -4.13 eV per atom

***

# AcAl3, optimized geometry, DFT PBE
data_AcAl3
_space_group_name_H-M_alt 'P 63/m m c'
_space_group_IT_number 194
_space_group_name_Hall '-P 6c 2c'
_cell_length_a 6.9552
_cell_length_b 6.9552
_cell_length_c 4.6556
_cell_angle_alpha 90.00
_cell_angle_beta 90.00
_cell_angle_gamma 120.00
loop_
_atom_site_label
_atom_site_type_symbol
_atom_site_fract_x
_atom_site_fract_y
_atom_site_fract_z
Ac1 Ac 0.3333 0.6667 0.2500
Al1 Al 0.1320 0.2640 0.7500
# Electronic total energy = -4.19 eV per atom

***

# AcAlO3, optimized geometry, DFT PBE
data_AcAlO3
_space_group_name_H-M_alt 'P m -3 m'
_space_group_IT_number 221
_space_group_name_Hall '-P 4 2 3'
_cell_length_a 3.886
_cell_length_b 3.886
_cell_length_c 3.886
_cell_angle_alpha 90.00
_cell_angle_beta 90.00
_cell_angle_gamma 90.00
loop_
_atom_site_label
_atom_site_type_symbol
_atom_site_fract_x
_atom_site_fract_y
_atom_site_fract_z
Ac1 Ac 0.000 0.000 0.000
Al1 Al 0.500 0.500 0.500
O1 O 0.000 0.500 0.500
# Electronic total energy = -7.82 eV per atom

***

# CaAcAu2, optimized geometry, DFT PBE
data_CaAcAu2
_space_group_name_H-M_alt 'F m -3 m'
_space_group_IT_number 225
_space_group_name_Hall '-F 4 2 3'
_cell_length_a 7.588
_cell_length_b 7.588
_cell_length_c 7.588
_cell_angle_alpha 90.00
_cell_angle_beta 90.00
_cell_angle_gamma 90.00
loop_
_atom_site_label
_atom_site_type_symbol
_atom_site_fract_x
_atom_site_fract_y
_atom_site_fract_z
Ca1 Ca 0.000 0.000 0.000
Ac1 Ac 0.000 0.000 0.500
Au1 Au 0.250 0.250 0.250
# Electronic total energy = -3.97 eV per atom

***

# AcHgAu2, optimized geometry, DFT PBE
data_AcHgAu2
_space_group_name_H-M_alt 'F m -3 m'
_space_group_IT_number 225
_space_group_name_Hall '-F 4 2 3'
_cell_length_a 7.441
_cell_length_b 7.441
_cell_length_c 7.441
_cell_angle_alpha 90.00
_cell_angle_beta 90.00
_cell_angle_gamma 90.00
loop_
_atom_site_label
_atom_site_type_symbol
_atom_site_fract_x
_atom_site_fract_y
_atom_site_fract_z
Ac1 Ac 0.000 0.000 0.000
Hg1 Hg 0.000 0.000 0.500
Au1 Au 0.250 0.250 0.250
# Electronic total energy = -3.35 eV per atom

***

What did the second record say?
# AcAg3, optimized geometry, DFT PBE
data_AcAg3
_space_group_name_H-M_alt 'P 63/m m c'
_space_group_IT_number 194
_space_group_name_Hall '-P 6c 2c'
_cell_length_a 6.9819
_cell_length_b 6.9819
_cell_length_c 4.8631
_cell_angle_alpha 90.00
_cell_angle_beta 90.00
_cell_angle_gamma 120.00
loop_
_atom_site_label
_atom_site_type_symbol
_atom_site_fract_x
_atom_site_fract_y
_atom_site_fract_z
Ac1 Ac 0.3333 0.6667 0.2500
Ag1 Ag 0.1402 0.2804 0.7500
# Electronic total energy = -3.36 eV per atom